[1]
This record from the Materials Project describes crystalline Ta2CrN3 at its relaxed geometry. The functional is PBE-GGA.

For the formation energy, the calculation gives -0.832 eV/atom. For the total moment, the calculation gives 0.146 μB per atom.

The structure belongs to space group Immm (No. 71); the cell edges are 2.867, 3.707 and 11.563 Å and the angles 90.00°, 90.00° and 90.00°. The asymmetric unit holds Ta at (0.000, 0.000, 0.148), Cr at (0.000, 0.000, 0.500), N at (0.000, 0.000, 0.329) and N at (0.000, 0.500, 0.500).

[2]
This record from the Materials Project describes crystalline TbSi2 at its relaxed geometry. The functional is PBE-GGA.

For the formation energy, the calculation gives -0.492 eV/atom.

The structure belongs to space group P6/mmm (No. 191); the cell edges are 4.0898, 4.0898 and 3.9974 Å and the angles 90.00°, 90.00° and 120.00°. The asymmetric unit holds Tb at (0.0000, 0.0000, 0.0000) and Si at (0.3333, 0.6667, 0.5000).

Please write out number 1 again, unchanged.
This record from the Materials Project describes crystalline Ta2CrN3 at its relaxed geometry. The functional is PBE-GGA.

For the formation energy, the calculation gives -0.832 eV/atom. For the total moment, the calculation gives 0.146 μB per atom.

The structure belongs to space group Immm (No. 71); the cell edges are 2.867, 3.707 and 11.563 Å and the angles 90.00°, 90.00° and 90.00°. The asymmetric unit holds Ta at (0.000, 0.000, 0.148), Cr at (0.000, 0.000, 0.500), N at (0.000, 0.000, 0.329) and N at (0.000, 0.500, 0.500).